The following is a PBE calculation of a geometry-optimized Lu3Ga5O12 structure, from the Materials Project database.

Summary:
symmetry: No. 230
formation energy: -2.99 eV/atom
uncorrected energy: -6.9820 eV per atom

abc: 10.6239 10.6239 10.6239
angles: 109.47 109.47 109.47
Element x y z (fractional)
Lu1 0.1250 0.2500 0.3750
Lu2 0.1250 0.3750 0.7500
Lu3 0.2500 0.3750 0.1250
Lu4 0.2500 0.8750 0.6250
Lu5 0.3750 0.1250 0.2500
Lu6 0.3750 0.7500 0.1250
Lu7 0.6250 0.2500 0.8750
Lu8 0.6250 0.8750 0.7500
Lu9 0.7500 0.1250 0.3750
Lu10 0.7500 0.6250 0.8750
Lu11 0.8750 0.6250 0.2500
Lu12 0.8750 0.7500 0.6250
Ga1 0.0000 0.0000 0.0000
Ga2 0.0000 0.0000 0.5000
Ga3 0.0000 0.5000 0.0000
Ga4 0.0000 0.5000 0.5000
Ga5 0.1250 0.7500 0.8750
Ga6 0.1250 0.8750 0.2500
Ga7 0.2500 0.1250 0.8750
Ga8 0.2500 0.6250 0.3750
Ga9 0.3750 0.2500 0.6250
Ga10 0.3750 0.6250 0.7500
Ga11 0.5000 0.0000 0.0000
Ga12 0.5000 0.0000 0.5000
Ga13 0.5000 0.5000 0.0000
Ga14 0.5000 0.5000 0.5000
Ga15 0.6250 0.3750 0.2500
Ga16 0.6250 0.7500 0.3750
Ga17 0.7500 0.3750 0.6250
Ga18 0.7500 0.8750 0.1250
Ga19 0.8750 0.1250 0.7500
Ga20 0.8750 0.2500 0.1250
O1 0.0322 0.2091 0.1259
O2 0.0322 0.3232 0.9064
O3 0.0832 0.7091 0.6768
O4 0.0832 0.8741 0.4064
O5 0.0936 0.6259 0.4168
O6 0.0936 0.9678 0.6768
O7 0.1259 0.0322 0.2091
O8 0.1259 0.5936 0.9168
O9 0.1768 0.2091 0.5832
O10 0.1768 0.4678 0.5936
O11 0.2091 0.1259 0.0322
O12 0.2091 0.5832 0.1768
O13 0.2909 0.3232 0.9168
O14 0.2909 0.4678 0.3741
O15 0.3232 0.9064 0.0322
O16 0.3232 0.9168 0.2909
O17 0.3741 0.2909 0.4678
O18 0.3741 0.5832 0.9064
O19 0.4064 0.0832 0.8741
O20 0.4064 0.8232 0.5322
O21 0.4168 0.0936 0.6259
O22 0.4168 0.8232 0.7909
O23 0.4678 0.3741 0.2909
O24 0.4678 0.5936 0.1768
O25 0.5322 0.4064 0.8232
O26 0.5322 0.6259 0.7091
O27 0.5832 0.1768 0.2091
O28 0.5832 0.9064 0.3741
O29 0.5936 0.1768 0.4678
O30 0.5936 0.9168 0.1259
O31 0.6259 0.4168 0.0936
O32 0.6259 0.7091 0.5322
O33 0.6768 0.0832 0.7091
O34 0.6768 0.0936 0.9678
O35 0.7091 0.5322 0.6259
O36 0.7091 0.6768 0.0832
O37 0.7909 0.4168 0.8232
O38 0.7909 0.8741 0.9678
O39 0.8232 0.5322 0.4064
O40 0.8232 0.7909 0.4168
O41 0.8741 0.4064 0.0832
O42 0.8741 0.9678 0.7909
O43 0.9064 0.0322 0.3232
O44 0.9064 0.3741 0.5832
O45 0.9168 0.1259 0.5936
O46 0.9168 0.2909 0.3232
O47 0.9678 0.6768 0.0936
O48 0.9678 0.7909 0.8741

=====

The following is a PBE calculation of a geometry-optimized Pr3Lu2Ga3O12 structure, from the Materials Project database.

Summary:
symmetry: No. 230
formation energy: -3.37 eV/atom
uncorrected energy: -7.5463 eV per atom

abc: 11.3067 11.3067 11.3067
angles: 109.47 109.47 109.47
Element x y z (fractional)
Pr1 0.1250 0.2500 0.3750
Pr2 0.1250 0.3750 0.7500
Pr3 0.2500 0.3750 0.1250
Pr4 0.2500 0.8750 0.6250
Pr5 0.3750 0.1250 0.2500
Pr6 0.3750 0.7500 0.1250
Pr7 0.6250 0.2500 0.8750
Pr8 0.6250 0.8750 0.7500
Pr9 0.7500 0.1250 0.3750
Pr10 0.7500 0.6250 0.8750
Pr11 0.8750 0.6250 0.2500
Pr12 0.8750 0.7500 0.6250
Lu1 0.0000 0.0000 0.0000
Lu2 0.0000 0.0000 0.5000
Lu3 0.0000 0.5000 0.0000
Lu4 0.0000 0.5000 0.5000
Lu5 0.5000 0.0000 0.0000
Lu6 0.5000 0.0000 0.5000
Lu7 0.5000 0.5000 0.0000
Lu8 0.5000 0.5000 0.5000
Ga1 0.1250 0.7500 0.8750
Ga2 0.1250 0.8750 0.2500
Ga3 0.2500 0.1250 0.8750
Ga4 0.2500 0.6250 0.3750
Ga5 0.3750 0.2500 0.6250
Ga6 0.3750 0.6250 0.7500
Ga7 0.6250 0.3750 0.2500
Ga8 0.6250 0.7500 0.3750
Ga9 0.7500 0.3750 0.6250
Ga10 0.7500 0.8750 0.1250
Ga11 0.8750 0.1250 0.7500
Ga12 0.8750 0.2500 0.1250
O1 0.0260 0.2132 0.1250
O2 0.0260 0.3128 0.9009
O3 0.0881 0.7132 0.6872
O4 0.0881 0.8750 0.4009
O5 0.0991 0.6250 0.4119
O6 0.0991 0.9740 0.6872
O7 0.1250 0.0260 0.2132
O8 0.1250 0.5991 0.9119
O9 0.1872 0.2132 0.5881
O10 0.1872 0.4740 0.5991
O11 0.2132 0.1250 0.0260
O12 0.2132 0.5881 0.1872
O13 0.2868 0.3128 0.9119
O14 0.2868 0.4740 0.3750
O15 0.3128 0.9009 0.0260
O16 0.3128 0.9119 0.2868
O17 0.3750 0.2868 0.4740
O18 0.3750 0.5881 0.9009
O19 0.4009 0.0881 0.8750
O20 0.4009 0.8128 0.5260
O21 0.4119 0.0991 0.6250
O22 0.4119 0.8128 0.7868
O23 0.4740 0.3750 0.2868
O24 0.4740 0.5991 0.1872
O25 0.5260 0.4009 0.8128
O26 0.5260 0.6250 0.7132
O27 0.5881 0.1872 0.2132
O28 0.5881 0.9009 0.3750
O29 0.5991 0.1872 0.4740
O30 0.5991 0.9119 0.1250
O31 0.6250 0.4119 0.0991
O32 0.6250 0.7132 0.5260
O33 0.6872 0.0881 0.7132
O34 0.6872 0.0991 0.9740
O35 0.7132 0.5260 0.6250
O36 0.7132 0.6872 0.0881
O37 0.7868 0.4119 0.8128
O38 0.7868 0.8750 0.9740
O39 0.8128 0.5260 0.4009
O40 0.8128 0.7868 0.4119
O41 0.8750 0.4009 0.0881
O42 0.8750 0.9740 0.7868
O43 0.9009 0.0260 0.3128
O44 0.9009 0.3750 0.5881
O45 0.9119 0.1250 0.5991
O46 0.9119 0.2868 0.3128
O47 0.9740 0.6872 0.0991
O48 0.9740 0.7868 0.8750

=====

The following is a PBE calculation of a geometry-optimized LuGaPd structure, from the Materials Project database.

Summary:
symmetry: No. 62
formation energy: -0.87 eV/atom
uncorrected energy: -5.1116 eV per atom

abc: 6.8213 4.3629 7.6582
angles: 90.00 90.00 90.00
Element x y z (fractional)
Lu1 0.0065 0.2500 0.1980
Lu2 0.4935 0.7500 0.6980
Lu3 0.5065 0.2500 0.3020
Lu4 0.9935 0.7500 0.8020
Ga1 0.2143 0.7500 0.3961
Ga2 0.2857 0.2500 0.8961
Ga3 0.7143 0.7500 0.1039
Ga4 0.7857 0.2500 0.6039
Pd1 0.1756 0.2500 0.5686
Pd2 0.3244 0.7500 0.0686
Pd3 0.6756 0.2500 0.9314
Pd4 0.8244 0.7500 0.4314

=====

The following is a PBE calculation of a geometry-optimized LuGaPd2 structure, from the Materials Project database.

Summary:
symmetry: No. 225
formation energy: -0.87 eV/atom
uncorrected energy: -5.3452 eV per atom

abc: 4.6240 4.6240 4.6240
angles: 60.00 60.00 60.00
Element x y z (fractional)
Lu1 0.0000 0.0000 0.0000
Ga1 0.5000 0.5000 0.5000
Pd1 0.2500 0.2500 0.2500
Pd2 0.7500 0.7500 0.7500

=====

The following is a PBE calculation of a geometry-optimized LuGa2Pd structure, from the Materials Project database.

Summary:
symmetry: No. 63
formation energy: -0.78 eV/atom
uncorrected energy: -4.7238 eV per atom

abc: 5.4791 5.4791 6.5783
angles: 90.00 90.00 132.65
Element x y z (fractional)
Lu1 0.0872 0.9128 0.7500
Lu2 0.9128 0.0872 0.2500
Ga1 0.3722 0.6278 0.5525
Ga2 0.3722 0.6278 0.9475
Ga3 0.6278 0.3722 0.0525
Ga4 0.6278 0.3722 0.4475
Pd1 0.2002 0.7998 0.2500
Pd2 0.7998 0.2002 0.7500

=====

The following is a PBE calculation of a geometry-optimized Lu4Ga12Pd structure, from the Materials Project database.

Summary:
symmetry: No. 229
formation energy: -0.55 eV/atom
uncorrected energy: -4.0606 eV per atom

abc: 7.4184 7.4184 7.4184
angles: 109.47 109.47 109.47
Element x y z (fractional)
Lu1 0.0000 0.0000 0.5000
Lu2 0.0000 0.5000 0.0000
Lu3 0.5000 0.0000 0.0000
Lu4 0.5000 0.5000 0.5000
Ga1 0.0000 0.2957 0.2957
Ga2 0.0000 0.7043 0.7043
Ga3 0.2500 0.5000 0.7500
Ga4 0.2500 0.7500 0.5000
Ga5 0.2957 0.0000 0.2957
Ga6 0.2957 0.2957 0.0000
Ga7 0.5000 0.2500 0.7500
Ga8 0.5000 0.7500 0.2500
Ga9 0.7043 0.0000 0.7043
Ga10 0.7043 0.7043 0.0000
Ga11 0.7500 0.2500 0.5000
Ga12 0.7500 0.5000 0.2500
Pd1 0.0000 0.0000 0.0000